# 1
Entry from the Materials Project: Na8La2Mg2Si3S3O24 after structural relaxation (GGA-PBE).

a b c (Å): 9.583 9.586 22.965
angles (deg): 89.66 89.50 120.11
Atoms (fractional coordinates):
1 S 0.366 0.017 0.585
2 S 0.323 0.355 0.417
3 S 0.365 0.350 0.084
4 S 0.699 0.685 0.251
5 S 0.655 0.017 0.085
6 S 0.040 0.359 0.922
7 S 0.029 0.680 0.418
8 S 0.639 0.677 0.923
9 S 0.985 0.693 0.754
10 Mg 0.358 0.670 0.523
11 Mg 0.006 0.019 0.346
12 Mg 0.012 0.012 0.837
13 Mg 0.676 0.341 0.680
14 Mg 0.686 0.336 0.190
15 Mg 0.298 0.672 0.015
16 O 0.678 0.558 0.520
17 O 0.825 0.981 0.414
18 O 0.209 0.228 0.692
19 O 0.980 0.183 0.302
20 O 0.546 0.656 0.869
21 O 0.016 0.787 0.699
22 O 0.120 0.658 0.759
23 O 0.831 0.538 0.752
24 O 0.470 0.112 0.633
25 O 0.772 0.971 0.695
26 O 0.438 0.327 0.030
27 O 0.696 0.528 0.247
28 O 0.702 0.184 0.748
29 O 0.220 0.190 0.807
30 O 0.491 0.184 0.245
31 O 0.884 0.317 0.521
32 O 0.463 0.328 0.422
33 O 0.018 0.234 0.186
34 O 0.358 0.895 0.862
35 O 0.679 0.109 0.030
36 O 0.495 0.320 0.744
37 O 0.513 0.864 0.755
38 O 0.798 0.829 0.920
39 O 0.197 0.981 0.592
40 O 0.215 0.979 0.188
41 O 0.153 0.978 0.913
42 O 0.883 0.365 0.637
43 O 0.828 0.815 0.583
44 O 0.359 0.503 0.080
45 O 0.833 0.321 0.249
46 O 0.208 0.028 0.304
47 O 0.505 0.856 0.082
48 O 0.651 0.515 0.637
49 O 0.549 0.896 0.354
50 O 0.139 0.453 0.972
51 O 0.345 0.444 0.361
52 O 0.461 0.357 0.135
53 O 0.642 0.109 0.135
54 O 0.538 0.845 0.471
55 O 0.196 0.209 0.087
56 O 0.813 0.019 0.810
57 O 0.128 0.686 0.468
58 O 0.030 0.199 0.921
59 O 0.025 0.834 0.414
60 O 0.860 0.541 0.421
61 O 0.661 0.150 0.418
62 O 0.875 0.559 0.022
63 O 0.991 0.816 0.086
64 O 0.425 0.109 0.529
65 O 0.482 0.158 0.922
66 O 0.171 0.194 0.416
67 O 0.805 0.780 0.299
68 O 0.339 0.489 0.753
69 O 0.798 0.994 0.090
70 O 0.158 0.488 0.252
71 O 0.501 0.652 0.583
72 O 0.019 0.197 0.584
73 O 0.863 0.511 0.138
74 O 0.097 0.656 0.363
75 O 0.149 0.643 0.083
76 O 0.980 0.787 0.805
77 O 0.110 0.451 0.867
78 O 0.546 0.679 0.975
79 O 0.759 0.776 0.194
80 O 0.530 0.651 0.258
81 O 0.162 0.522 0.577
82 O 0.668 0.537 0.924
83 O 0.304 0.860 0.977
84 O 0.313 0.449 0.467
85 O 0.872 0.333 0.926
86 O 0.345 0.858 0.253
87 O 0.365 0.862 0.581
88 Na 0.011 0.672 0.586
89 Na 0.342 0.651 0.659
90 Na 0.951 0.269 0.418
91 Na 0.011 0.978 0.994
92 Na 0.306 0.360 0.595
93 Na 0.283 0.936 0.083
94 Na 0.644 0.312 0.818
95 Na 0.665 0.300 0.328
96 Na 0.341 0.029 0.408
97 Na 0.641 0.029 0.262
98 Na 0.300 0.666 0.170
99 Na 0.986 0.697 0.920
100 Na 0.398 0.035 0.751
101 Na 0.987 0.343 0.732
102 Na 0.033 0.357 0.099
103 Na 0.667 0.951 0.581
104 Na 0.966 0.999 0.503
105 Na 0.686 0.023 0.896
106 Na 0.703 0.695 0.434
107 Na 0.345 0.337 0.255
108 Na 0.680 0.693 0.081
109 Na 0.999 0.620 0.242
110 Na 0.622 0.617 0.728
111 Na 0.312 0.263 0.899
112 La 0.334 0.676 0.321
113 La 0.665 0.330 0.989
114 La 0.996 0.010 0.653
115 La 0.341 0.676 0.817
116 La 0.009 0.002 0.160
117 La 0.673 0.331 0.493
118 Si 0.321 0.970 0.919
119 Si 0.315 0.014 0.250
120 Si 0.996 0.305 0.249
121 Si 0.645 0.967 0.416
122 Si 0.317 0.305 0.750
123 Si 0.969 0.631 0.084
124 Si 0.704 0.013 0.754
125 Si 0.987 0.352 0.582
126 Si 0.664 0.633 0.583

Output
Crystal system: triclinic
E_tot: -6.309 eV/atom



# 2
Entry from the Materials Project: Na10La4Mg4Si3S9O48 after structural relaxation (GGA-PBE).

a b c (Å): 18.819 9.428 23.731
angles (deg): 89.98 89.49 120.40
Atoms (fractional coordinates):
1 Na 0.654 0.985 0.079
2 Na 0.991 0.345 0.751
3 Na 0.018 0.002 0.496
4 Na 0.010 0.030 0.995
5 Na 0.196 0.014 0.739
6 Na 0.344 0.344 0.331
7 Na 0.657 0.014 0.424
8 Na 0.175 0.654 0.160
9 Na 0.511 0.030 0.994
10 Na 0.693 0.375 0.243
11 Na 0.670 0.673 0.657
12 Na 0.492 0.631 0.260
13 Na 0.826 0.682 0.092
14 Na 0.513 0.009 0.493
15 Na 0.359 0.675 0.410
16 Na 0.170 0.686 0.654
17 Na 0.325 0.967 0.589
18 Na 0.839 0.350 0.326
19 Na 0.694 0.011 0.741
20 Na 0.825 0.963 0.588
21 Na 0.676 0.655 0.163
22 Na 0.990 0.637 0.253
23 Na 0.344 0.318 0.825
24 Na 0.193 0.371 0.243
25 Na 0.822 0.651 0.744
26 Na 0.326 0.682 0.092
27 Na 0.833 0.316 0.829
28 Na 0.154 0.986 0.079
29 Na 0.324 0.655 0.744
30 Na 0.525 0.707 0.573
31 O 0.108 0.185 0.803
32 O 0.945 0.365 0.638
33 O 0.015 0.196 0.914
34 O 0.103 0.984 0.197
35 O 0.489 0.194 0.302
36 O 0.747 0.868 0.079
37 O 0.065 0.663 0.759
38 O 0.258 0.841 0.754
39 O 0.403 0.799 0.588
40 O 0.246 0.867 0.079
41 O 0.102 0.226 0.702
42 O 0.780 0.863 0.471
43 O 0.576 0.698 0.471
44 O 0.410 0.017 0.802
45 O 0.987 0.785 0.803
46 O 0.340 0.127 0.032
47 O 0.725 0.127 0.526
48 O 0.233 0.158 0.245
49 O 0.916 0.796 0.299
50 O 0.491 0.196 0.589
51 O 0.160 0.461 0.760
52 O 0.609 0.230 0.701
53 O 0.823 0.535 0.639
54 O 0.989 0.194 0.302
55 O 0.408 0.789 0.304
56 O 0.435 0.550 0.035
57 O 0.015 0.834 0.413
58 O 0.230 0.135 0.530
59 O 0.388 0.788 0.190
60 O 0.343 0.556 0.534
61 O 0.935 0.549 0.035
62 O 0.734 0.161 0.245
63 O 0.167 0.887 0.865
64 O 0.276 0.855 0.470
65 O 0.750 0.637 0.582
66 O 0.071 0.652 0.077
67 O 0.903 0.836 0.913
68 O 0.920 0.310 0.248
69 O 0.774 0.660 0.864
70 O 0.916 0.037 0.800
71 O 0.759 0.847 0.755
72 O 0.609 0.188 0.802
73 O 0.670 0.467 0.759
74 O 0.830 0.131 0.424
75 O 0.275 0.692 0.967
76 O 0.679 0.840 0.579
77 O 0.558 0.657 0.357
78 O 0.276 0.657 0.865
79 O 0.937 0.534 0.421
80 O 0.515 0.196 0.915
81 O 0.673 0.448 0.363
82 O 0.054 0.448 0.862
83 O 0.323 0.532 0.637
84 O 0.735 0.127 0.919
85 O 0.514 0.851 0.413
86 O 0.094 0.167 0.087
87 O 0.254 0.644 0.580
88 O 0.234 0.127 0.920
89 O 0.947 0.529 0.137
90 O 0.740 0.364 0.142
91 O 0.571 0.653 0.077
92 O 0.511 0.795 0.698
93 O 0.236 0.356 0.421
94 O 0.421 0.312 0.247
95 O 0.417 0.538 0.746
96 O 0.511 0.232 0.201
97 O 0.446 0.528 0.136
98 O 0.083 0.976 0.915
99 O 0.152 0.456 0.466
100 O 0.153 0.860 0.968
101 O 0.584 0.975 0.914
102 O 0.496 0.795 0.089
103 O 0.339 0.169 0.747
104 O 0.422 0.524 0.418
105 O 0.437 0.337 0.923
106 O 0.056 0.661 0.362
107 O 0.733 0.331 0.420
108 O 0.441 0.366 0.634
109 O 0.654 0.861 0.968
110 O 0.846 0.508 0.246
111 O 0.775 0.692 0.967
112 O 0.934 0.324 0.536
113 O 0.183 0.845 0.578
114 O 0.905 0.981 0.413
115 O 0.917 0.535 0.747
116 O 0.069 0.494 0.578
117 O 0.073 0.691 0.464
118 O 0.740 0.115 0.639
119 O 0.569 0.468 0.257
120 O 0.990 0.194 0.589
121 O 0.886 0.783 0.187
122 O 0.239 0.108 0.643
123 O 0.404 0.836 0.914
124 O 0.609 0.031 0.300
125 O 0.235 0.316 0.747
126 O 0.658 0.861 0.255
127 O 0.333 0.126 0.422
128 O 0.937 0.339 0.922
129 O 0.588 0.985 0.586
130 O 0.658 0.454 0.465
131 O 0.556 0.452 0.866
132 O 0.321 0.117 0.134
133 O 0.067 0.470 0.259
134 O 0.436 0.323 0.533
135 O 0.683 0.513 0.077
136 O 0.572 0.451 0.967
137 O 0.255 0.651 0.252
138 O 0.603 0.987 0.198
139 O 0.996 0.795 0.089
140 O 0.155 0.858 0.257
141 O 0.106 0.032 0.299
142 O 0.568 0.678 0.757
143 O 0.567 0.497 0.579
144 O 0.488 0.791 0.800
145 O 0.668 0.884 0.865
146 O 0.014 0.237 0.201
147 O 0.091 0.995 0.585
148 O 0.887 0.969 0.690
149 O 0.840 0.128 0.032
150 O 0.074 0.457 0.964
151 O 0.183 0.513 0.077
152 O 0.170 0.456 0.364
153 O 0.738 0.309 0.748
154 O 0.839 0.552 0.536
155 O 0.333 0.538 0.922
156 O 0.014 0.797 0.702
157 O 0.895 0.993 0.086
158 O 0.594 0.168 0.086
159 O 0.822 0.118 0.134
160 O 0.401 0.964 0.414
161 O 0.240 0.365 0.143
162 O 0.756 0.654 0.253
163 O 0.832 0.538 0.921
164 O 0.771 0.893 0.369
165 O 0.846 0.178 0.744
166 O 0.230 0.309 0.032
167 O 0.394 0.992 0.086
168 O 0.730 0.309 0.032
169 O 0.085 0.196 0.413
170 O 0.347 0.508 0.247
171 O 0.585 0.193 0.414
172 O 0.898 0.800 0.588
173 O 0.386 0.971 0.690
174 O 0.271 0.883 0.368
175 S 0.654 0.295 0.754
176 S 0.823 0.965 0.420
177 S 0.826 0.627 0.587
178 S 0.326 0.029 0.084
179 S 0.495 0.296 0.254
180 S 0.487 0.627 0.085
181 S 0.494 0.699 0.752
182 S 0.320 0.958 0.420
183 S 0.821 0.684 0.917
184 S 0.158 0.363 0.418
185 S 0.323 0.684 0.918
186 S 0.157 0.961 0.919
187 S 0.150 0.011 0.250
188 S 0.021 0.682 0.416
189 S 0.484 0.347 0.584
190 S 0.151 0.293 0.754
191 S 0.521 0.359 0.919
192 S 0.021 0.360 0.916
193 S 0.660 0.359 0.417
194 S 0.652 0.011 0.251
195 S 0.994 0.297 0.254
196 S 0.987 0.627 0.085
197 S 0.985 0.348 0.585
198 S 0.328 0.628 0.586
199 S 0.658 0.960 0.918
200 S 0.995 0.697 0.754
201 S 0.826 0.030 0.084
202 La 0.830 0.333 0.982
203 La 0.005 0.001 0.647
204 La 0.175 0.676 0.316
205 La 0.173 0.680 0.822
206 La 0.666 0.669 0.819
207 La 0.995 0.008 0.153
208 La 0.496 0.008 0.152
209 La 0.831 0.337 0.485
210 La 0.329 0.326 0.482
211 La 0.671 0.671 0.321
212 La 0.330 0.332 0.982
213 La 0.504 0.011 0.651
214 Mg 0.157 0.680 0.518
215 Mg 0.660 0.631 0.018
216 Mg 0.990 0.009 0.851
217 Mg 0.161 0.631 0.017
218 Mg 0.828 0.352 0.182
219 Mg 0.492 0.972 0.350
220 Mg 0.988 0.972 0.349
221 Mg 0.333 0.292 0.680
222 Mg 0.830 0.300 0.678
223 Mg 0.490 0.011 0.850
224 Mg 0.662 0.683 0.513
225 Mg 0.329 0.353 0.182
226 Si 0.184 0.021 0.585
227 Si 0.851 0.691 0.249
228 Si 0.683 0.020 0.584
229 Si 0.518 0.678 0.416
230 Si 0.854 0.010 0.749
231 Si 0.685 0.341 0.086
232 Si 0.352 0.689 0.250
233 Si 0.185 0.340 0.086
234 Si 0.354 0.011 0.750

Output
Crystal system: triclinic
E_tot: -6.353 eV/atom



# 3
Entry from the Materials Project: NaLaMgTeO6 after structural relaxation (GGA-PBE).

a b c (Å): 5.600 5.626 7.946
angles (deg): 89.74 90.00 90.00
Atoms (fractional coordinates):
1 Mg 0.250 0.252 0.269
2 Mg 0.750 0.748 0.731
3 O 0.991 0.504 0.197
4 O 0.496 0.017 0.732
5 O 0.004 0.017 0.732
6 O 0.750 0.665 0.486
7 O 0.250 0.335 0.514
8 O 0.009 0.496 0.803
9 O 0.504 0.983 0.268
10 O 0.491 0.496 0.803
11 O 0.509 0.504 0.197
12 O 0.250 0.188 0.994
13 O 0.750 0.812 0.006
14 O 0.996 0.983 0.268
15 La 0.750 0.245 0.998
16 La 0.250 0.755 0.002
17 Te 0.750 0.744 0.256
18 Te 0.250 0.256 0.744
19 Na 0.750 0.235 0.501
20 Na 0.250 0.765 0.499

Output
Crystal system: monoclinic
Distance to the lowest polymorph of the same formula: 0 meV/atom



# 4
Entry from the Materials Project: NaLaMgTeO6 after structural relaxation (GGA-PBE).

a b c (Å): 5.602 5.602 5.619
angles (deg): 59.82 59.82 59.93
Atoms (fractional coordinates):
1 La 0.251 0.251 0.238
2 Te 0.501 0.501 0.499
3 Mg 0.999 0.999 0.999
4 O 0.295 0.789 0.221
5 O 0.696 0.216 0.786
6 O 0.261 0.261 0.656
7 O 0.740 0.740 0.337
8 O 0.216 0.696 0.786
9 O 0.789 0.295 0.221
10 Na 0.752 0.752 0.756

Output
Crystal system: monoclinic
Distance to the lowest polymorph of the same formula: 15 meV/atom



# 5
Entry from the Materials Project: LaMg6Nb after structural relaxation (GGA-PBE).

a b c (Å): 5.183 6.142 11.895
angles (deg): 90.00 90.00 90.00
Atoms (fractional coordinates):
1 Mg 0.500 0.750 0.921
2 Mg 0.000 0.765 0.582
3 Mg 0.000 0.000 0.815
4 Mg 0.500 0.250 0.421
5 Mg 0.500 0.250 0.921
6 Mg 0.000 0.000 0.341
7 Mg 0.000 0.500 0.315
8 Mg 0.000 0.235 0.582
9 Mg 0.000 0.500 0.841
10 Mg 0.000 0.265 0.082
11 Mg 0.000 0.735 0.082
12 Mg 0.500 0.750 0.421
13 La 0.500 0.500 0.673
14 La 0.500 0.000 0.173
15 Nb 0.500 0.500 0.164
16 Nb 0.500 0.000 0.664

Output
Distance to the lowest polymorph of the same formula: 12 meV/atom



# 6
Entry from the Materials Project: LaMg6Nb after structural relaxation (GGA-PBE).

a b c (Å): 5.065 6.490 11.546
angles (deg): 90.00 90.00 90.00
Atoms (fractional coordinates):
1 Nb 0.500 0.500 0.187
2 Nb 0.500 0.000 0.687
3 Mg 0.000 0.264 0.074
4 Mg 0.500 0.239 0.427
5 Mg 0.500 0.261 0.927
6 Mg 0.500 0.739 0.927
7 Mg 0.000 0.736 0.074
8 Mg 0.500 0.500 0.669
9 Mg 0.500 0.000 0.169
10 Mg 0.000 0.000 0.333
11 Mg 0.000 0.500 0.833
12 Mg 0.500 0.761 0.427
13 Mg 0.000 0.764 0.574
14 Mg 0.000 0.236 0.574
15 La 0.000 0.500 0.307
16 La 0.000 0.000 0.807

Output
Distance to the lowest polymorph of the same formula: 0 meV/atom